1.
Mg5ZnN4 after structural relaxation. Source: the Materials Project, functional PBE.

Space-group type: Pmmn, No. 59
Size of the total moment: 0.0 μB per cell
Electronic total energy: -4.801 eV/atom
Energy relative to the elements: -0.684 eV/atom

Cell and atoms, written as POSCAR:
```
Mg5ZnN4
1.0
6.759 0.000 0.000
0.000 7.147 0.000
0.000 0.000 5.183
Mg Zn N
10 2 8
Direct
0.003 0.051 0.249 Mg
0.003 0.449 0.249 Mg
0.250 0.250 0.722 Mg
0.497 0.051 0.249 Mg
0.497 0.449 0.249 Mg
0.503 0.551 0.751 Mg
0.503 0.949 0.751 Mg
0.750 0.750 0.278 Mg
0.997 0.551 0.751 Mg
0.997 0.949 0.751 Mg
0.250 0.750 0.273 Zn
0.750 0.250 0.727 Zn
0.001 0.250 0.953 N
0.250 0.002 0.503 N
0.250 0.498 0.503 N
0.499 0.250 0.953 N
0.501 0.750 0.047 N
0.750 0.502 0.497 N
0.750 0.998 0.497 N
0.999 0.750 0.047 N
```


2.
KMo3S3 after structural relaxation. Source: the Materials Project, functional PBE.

Space-group type: P6_3/m, No. 176
Size of the total moment: 0.0 μB per cell
Energy relative to the lowest polymorph listed for this composition: 0.0383 eV per atom
Electronic total energy: -7.339 eV/atom
Energy relative to the elements: -0.975 eV/atom

Cell and atoms, written as POSCAR:
```
KMo3S3
1.0
9.592 0.000 0.000
-4.796 8.307 0.000
0.000 0.000 4.476
K Mo S
2 6 6
Direct
0.333 0.667 0.250 K
0.667 0.333 0.750 K
0.023 0.171 0.750 Mo
0.149 0.977 0.750 Mo
0.171 0.149 0.250 Mo
0.829 0.851 0.750 Mo
0.851 0.023 0.250 Mo
0.977 0.829 0.250 Mo
0.041 0.319 0.250 S
0.277 0.959 0.250 S
0.319 0.277 0.750 S
0.681 0.723 0.250 S
0.723 0.041 0.750 S
0.959 0.681 0.750 S
```


3.
MgFe10N8 after structural relaxation. Source: the Materials Project, functional PBE.

Space-group type: C2/m, No. 12
Size of the total moment: 0.7 μB per cell
Electronic total energy: -8.028 eV/atom
Energy relative to the elements: -0.128 eV/atom

Cell and atoms, written as POSCAR:
```
MgFe10N8
1.0
8.588 -1.599 0.000
8.588 1.599 0.000
-3.171 0.000 7.014
Mg Fe N
1 10 8
Direct
0.000 0.000 0.000 Mg
0.099 0.099 0.609 Fe
0.173 0.173 0.976 Fe
0.272 0.272 0.314 Fe
0.348 0.348 0.703 Fe
0.496 0.496 0.673 Fe
0.504 0.504 0.327 Fe
0.652 0.652 0.297 Fe
0.728 0.728 0.686 Fe
0.827 0.827 0.024 Fe
0.901 0.901 0.391 Fe
0.052 0.052 0.788 N
0.150 0.150 0.194 N
0.296 0.296 0.112 N
0.382 0.382 0.509 N
0.618 0.618 0.491 N
0.704 0.704 0.888 N
0.850 0.850 0.806 N
0.948 0.948 0.212 N
```


4.
LaMg14Nb after structural relaxation. Source: the Materials Project, functional PBE.

Space-group type: Amm2, No. 38
Size of the total moment: 0.2 μB per cell
Energy relative to the lowest polymorph listed for this composition: 0.0000 eV per atom
Electronic total energy: -2.254 eV/atom
Energy relative to the elements: 0.086 eV/atom

Cell and atoms, written as POSCAR:
```
LaMg14Nb
1.0
10.434 0.000 0.000
0.000 3.090 5.768
0.000 -3.090 5.768
La Mg Nb
1 14 1
Direct
0.000 0.000 0.000 La
0.000 0.003 0.497 Mg
0.000 0.497 0.003 Mg
0.242 0.658 0.658 Mg
0.254 0.171 0.654 Mg
0.254 0.654 0.171 Mg
0.259 0.166 0.166 Mg
0.500 0.498 0.498 Mg
0.500 0.499 0.997 Mg
0.500 0.997 0.499 Mg
0.500 0.997 0.997 Mg
0.741 0.166 0.166 Mg
0.746 0.171 0.654 Mg
0.746 0.654 0.171 Mg
0.758 0.658 0.658 Mg
0.000 0.495 0.495 Nb
```


5.
Y7Cu3Te12 after structural relaxation. Source: the Materials Project, functional PBE.

Space-group type: P1, No. 1
Size of the total moment: 0.0 μB per cell
Energy relative to the lowest polymorph listed for this composition: 0.0000 eV per atom
Electronic total energy: -5.455 eV/atom
Energy relative to the elements: -1.355 eV/atom

Cell and atoms, written as POSCAR:
```
Y7Cu3Te12
1.0
7.535 0.000 0.000
3.767 6.541 0.000
2.559 -0.058 14.075
Y Cu Te
7 3 12
Direct
0.000 0.000 0.000 Y
0.083 0.670 0.746 Y
0.168 0.341 0.494 Y
0.327 0.336 0.000 Y
0.495 0.668 0.494 Y
0.667 0.673 0.000 Y
0.838 0.998 0.494 Y
0.556 0.337 0.320 Cu
0.605 0.001 0.179 Cu
0.940 0.336 0.178 Cu
0.039 0.336 0.874 Te
0.123 0.003 0.623 Te
0.208 0.670 0.367 Te
0.288 0.000 0.130 Te
0.374 0.668 0.873 Te
0.458 0.335 0.623 Te
0.542 0.999 0.368 Te
0.617 0.341 0.128 Te
0.707 0.003 0.874 Te
0.790 0.670 0.623 Te
0.879 0.335 0.368 Te
0.956 0.670 0.131 Te
```


6.
CaGd2ZrGa4O12 after structural relaxation. Source: the Materials Project, functional PBE.

Space-group type: P-1, No. 2
Size of the total moment: 56.0 μB per cell
Electronic total energy: -8.173 eV/atom
Energy relative to the elements: -3.076 eV/atom

Cell and atoms, written as POSCAR:
```
CaGd2ZrGa4O12
1.0
10.930 0.000 0.000
-3.632 10.351 0.000
-3.649 -5.156 8.980
Ca Gd Zr Ga O
4 8 4 16 48
Direct
0.123 0.242 0.374 Ca
0.375 0.123 0.246 Ca
0.625 0.877 0.754 Ca
0.877 0.758 0.626 Ca
0.129 0.370 0.751 Gd
0.250 0.376 0.123 Gd
0.250 0.877 0.631 Gd
0.374 0.748 0.119 Gd
0.626 0.252 0.881 Gd
0.750 0.123 0.369 Gd
0.750 0.624 0.877 Gd
0.871 0.630 0.249 Gd
0.000 0.000 0.000 Zr
0.000 0.500 0.500 Zr
0.500 0.000 0.500 Zr
0.500 0.500 0.500 Zr
0.000 0.000 0.500 Ga
0.000 0.500 0.000 Ga
0.123 0.874 0.250 Ga
0.127 0.750 0.876 Ga
0.246 0.625 0.368 Ga
0.253 0.128 0.872 Ga
0.369 0.252 0.629 Ga
0.381 0.634 0.760 Ga
0.500 0.000 0.000 Ga
0.500 0.500 0.000 Ga
0.619 0.366 0.240 Ga
0.631 0.748 0.371 Ga
0.747 0.872 0.128 Ga
0.754 0.375 0.632 Ga
0.873 0.250 0.124 Ga
0.877 0.126 0.750 Ga
0.027 0.212 0.122 O
0.028 0.323 0.904 O
0.083 0.878 0.404 O
0.088 0.710 0.683 O
0.096 0.625 0.414 O
0.101 0.978 0.678 O
0.122 0.023 0.207 O
0.122 0.595 0.917 O
0.174 0.204 0.586 O
0.187 0.479 0.605 O
0.204 0.582 0.175 O
0.208 0.127 0.022 O
0.290 0.476 0.373 O
0.297 0.324 0.919 O
0.316 0.910 0.289 O
0.323 0.900 0.023 O
0.379 0.293 0.479 O
0.379 0.582 0.907 O
0.397 0.816 0.524 O
0.406 0.084 0.878 O
0.414 0.099 0.627 O
0.415 0.824 0.797 O
0.472 0.377 0.288 O
0.475 0.596 0.177 O
0.525 0.404 0.823 O
0.528 0.623 0.712 O
0.585 0.176 0.203 O
0.586 0.901 0.373 O
0.594 0.916 0.122 O
0.603 0.184 0.476 O
0.621 0.418 0.093 O
0.621 0.707 0.521 O
0.677 0.100 0.977 O
0.684 0.090 0.711 O
0.703 0.676 0.081 O
0.710 0.524 0.627 O
0.792 0.873 0.978 O
0.796 0.418 0.825 O
0.813 0.521 0.395 O
0.826 0.796 0.414 O
0.878 0.405 0.083 O
0.878 0.977 0.793 O
0.899 0.022 0.322 O
0.904 0.375 0.586 O
0.912 0.290 0.317 O
0.917 0.122 0.596 O
0.972 0.677 0.096 O
0.973 0.788 0.878 O
```


7.
TmSi3 after structural relaxation. Source: the Materials Project, functional PBE.

Space-group type: Pm-3m, No. 221
Size of the total moment: 0.0 μB per cell
Electronic total energy: -5.389 eV/atom
Energy relative to the elements: -0.147 eV/atom

Cell and atoms, written as POSCAR:
```
TmSi3
1.0
4.105 0.000 0.000
0.000 4.105 0.000
0.000 0.000 4.105
Tm Si
1 3
Direct
0.000 0.000 0.000 Tm
0.000 0.500 0.500 Si
0.500 0.000 0.500 Si
0.500 0.500 0.000 Si
```


8.
Cu6AgBi12PbS22 after structural relaxation. Source: the Materials Project, functional PBE.

Space-group type: P2_1/m, No. 11
Size of the total moment: 0.2 μB per cell
Electronic total energy: -4.300 eV/atom
Energy relative to the elements: -0.544 eV/atom

Cell and atoms, written as POSCAR:
```
Cu6AgBi12PbS22
1.0
17.839 0.000 0.000
0.000 3.994 0.000
-7.740 0.000 27.692
Cu Ag Bi Pb S
12 2 24 2 44
Direct
0.123 0.250 0.194 Cu
0.163 0.250 0.010 Cu
0.221 0.750 0.752 Cu
0.310 0.250 0.564 Cu
0.342 0.250 0.994 Cu
0.368 0.250 0.804 Cu
0.632 0.750 0.196 Cu
0.658 0.750 0.006 Cu
0.690 0.750 0.436 Cu
0.779 0.250 0.248 Cu
0.837 0.750 0.990 Cu
0.877 0.750 0.806 Cu
0.410 0.250 0.499 Ag
0.590 0.750 0.501 Ag
0.014 0.750 0.069 Bi
0.056 0.250 0.783 Bi
0.097 0.250 0.635 Bi
0.104 0.750 0.504 Bi
0.116 0.250 0.316 Bi
0.230 0.750 0.881 Bi
0.273 0.750 0.121 Bi
0.281 0.750 0.417 Bi
0.293 0.750 0.272 Bi
0.460 0.250 0.220 Bi
0.480 0.250 0.375 Bi
0.483 0.750 0.930 Bi
0.517 0.250 0.070 Bi
0.520 0.750 0.625 Bi
0.540 0.750 0.780 Bi
0.707 0.250 0.728 Bi
0.719 0.250 0.583 Bi
0.727 0.250 0.879 Bi
0.770 0.250 0.119 Bi
0.884 0.750 0.684 Bi
0.896 0.250 0.496 Bi
0.903 0.750 0.365 Bi
0.944 0.750 0.217 Bi
0.986 0.250 0.931 Bi
0.342 0.250 0.681 Pb
0.658 0.750 0.319 Pb
0.005 0.750 0.558 S
0.037 0.750 0.706 S
0.075 0.750 0.852 S
0.091 0.750 0.003 S
0.110 0.250 0.115 S
0.123 0.750 0.382 S
0.130 0.750 0.238 S
0.178 0.250 0.566 S
0.203 0.750 0.671 S
0.208 0.250 0.792 S
0.217 0.250 0.942 S
0.266 0.250 0.479 S
0.287 0.250 0.062 S
0.293 0.250 0.205 S
0.295 0.250 0.344 S
0.365 0.750 0.601 S
0.380 0.750 0.766 S
0.386 0.250 0.885 S
0.412 0.750 0.999 S
0.429 0.750 0.150 S
0.463 0.750 0.439 S
0.471 0.750 0.298 S
0.529 0.250 0.702 S
0.537 0.250 0.561 S
0.571 0.250 0.850 S
0.588 0.250 0.001 S
0.614 0.750 0.115 S
0.620 0.250 0.234 S
0.635 0.250 0.399 S
0.705 0.750 0.656 S
0.707 0.750 0.795 S
0.713 0.750 0.938 S
0.734 0.750 0.521 S
0.783 0.750 0.058 S
0.792 0.750 0.208 S
0.797 0.250 0.329 S
0.822 0.750 0.434 S
0.870 0.250 0.762 S
0.877 0.250 0.618 S
0.890 0.750 0.885 S
0.909 0.250 0.997 S
0.925 0.250 0.148 S
0.963 0.250 0.294 S
0.995 0.250 0.442 S
```